Entry 1:
{"formula": "Si3NCl9", "functional": "GGA-PBE", "state": "optimized geometry", "lattice": [[-5.847, -3.480, -0.687], [3.115, -0.289, 8.309], [-5.333, 13.513, 1.630]], "species": ["Cl", "Cl", "Cl", "Cl", "Cl", "Si", "Cl", "Cl", "Cl", "Cl", "Si", "Cl", "Si", "Cl", "N", "Cl", "Cl", "Cl", "Cl", "Cl", "N", "Si", "Cl", "Si", "Si", "Cl"], "frac_coords": [[0.621, 0.991, 0.616], [0.708, 0.376, 0.607], [0.160, 0.202, 0.956], [0.015, 0.093, 0.231], [0.936, 0.764, 0.457], [0.861, 0.221, 0.637], [0.381, 0.022, 0.375], [0.488, 0.564, 0.167], [0.163, 0.585, 0.896], [0.254, 0.601, 0.683], [0.795, 0.628, 0.147], [0.762, 0.408, 0.329], [0.954, 0.116, 0.829], [0.653, 0.049, 0.857], [0.990, 0.734, 0.249], [0.279, 0.612, 0.393], [0.839, 0.426, 0.098], [0.359, 0.956, 0.152], [0.050, 0.220, 0.543], [0.513, 0.442, 0.829], [0.010, 0.266, 0.753], [0.222, 0.460, 0.790], [0.999, 0.914, 0.779], [0.996, 0.639, 0.351], [0.171, 0.937, 0.249], [0.822, 0.775, 0.043]], "density_g_cm3": 1.73, "final_energy_ev_per_atom": -4.38, "polymorph_energy_mev_per_atom": 0}

---

Entry 2:
{"formula": "LiSnP4O12", "functional": "GGA-PBE", "state": "optimized geometry", "lattice": [[13.315, 0.000, 0.000], [0.000, 7.438, 0.000], [0.000, 6.750, 9.843]], "species": ["P", "O", "O", "P", "O", "O", "O", "Li", "O", "Sn", "O", "O", "O", "O", "O", "O", "Li", "P", "P", "P", "O", "O", "O", "O", "O", "O", "O", "O", "O", "O", "O", "P", "O", "O", "O", "O", "O", "O", "O", "O", "O", "P", "O", "O", "Sn", "O", "O", "O", "Sn", "Sn", "Li", "O", "O", "P", "P", "O", "O", "P", "P", "O", "O", "O", "O", "P", "P", "P", "P", "O", "O", "Li", "O", "P"], "frac_coords": [[0.378, 0.157, 0.748], [0.362, 0.366, 0.341], [0.656, 0.140, 0.791], [0.593, 0.049, 0.728], [0.580, 0.622, 0.273], [0.653, 0.770, 0.396], [0.156, 0.860, 0.709], [0.205, 0.875, 0.035], [0.388, 0.741, 0.692], [0.792, 0.474, 0.067], [0.638, 0.634, 0.659], [0.478, 0.531, 0.136], [0.209, 0.557, 0.597], [0.521, 0.984, 0.218], [0.344, 0.860, 0.209], [0.791, 0.443, 0.403], [0.795, 0.125, 0.965], [0.588, 0.490, 0.204], [0.907, 0.049, 0.228], [0.088, 0.510, 0.296], [0.920, 0.622, 0.773], [0.021, 0.016, 0.282], [0.291, 0.557, 0.097], [0.880, 0.800, 0.296], [0.157, 0.386, 0.420], [0.806, 0.964, 0.639], [0.620, 0.800, 0.796], [0.306, 0.036, 0.861], [0.847, 0.770, 0.896], [0.612, 0.259, 0.308], [0.899, 0.181, 0.075], [0.128, 0.417, 0.699], [0.479, 0.016, 0.782], [0.709, 0.443, 0.903], [0.978, 0.469, 0.364], [0.399, 0.819, 0.425], [0.120, 0.200, 0.704], [0.843, 0.614, 0.580], [0.343, 0.386, 0.920], [0.657, 0.614, 0.080], [0.601, 0.181, 0.575], [0.878, 0.843, 0.752], [0.380, 0.200, 0.204], [0.522, 0.469, 0.864], [0.208, 0.526, 0.933], [0.979, 0.984, 0.718], [0.347, 0.230, 0.604], [0.080, 0.378, 0.227], [0.708, 0.474, 0.567], [0.292, 0.526, 0.433], [0.705, 0.125, 0.465], [0.138, 0.366, 0.841], [0.101, 0.819, 0.925], [0.093, 0.951, 0.772], [0.372, 0.417, 0.199], [0.022, 0.531, 0.636], [0.194, 0.036, 0.361], [0.412, 0.510, 0.796], [0.628, 0.583, 0.801], [0.112, 0.741, 0.192], [0.862, 0.634, 0.159], [0.420, 0.378, 0.727], [0.153, 0.230, 0.104], [0.622, 0.843, 0.252], [0.407, 0.951, 0.272], [0.872, 0.583, 0.301], [0.122, 0.157, 0.248], [0.888, 0.259, 0.808], [0.694, 0.964, 0.139], [0.295, 0.875, 0.535], [0.844, 0.140, 0.291], [0.912, 0.490, 0.704]], "density_g_cm3": 3.01, "final_energy_ev_per_atom": -6.83, "polymorph_energy_mev_per_atom": 49}

---

Entry 3:
{"formula": "Li2Nd2Ge3", "functional": "GGA-PBE", "state": "optimized geometry", "lattice": [[-5.474, 7.436, -2.728], [1.363, -8.773, 3.725], [0.630, 2.787, 6.333]], "species": ["Li", "Li", "Nd", "Ge", "Ge", "Li", "Li", "Ge", "Ge", "Nd", "Ge", "Nd", "Ge", "Nd"], "frac_coords": [[0.191, 0.809, 0.939], [0.809, 0.191, 0.439], [0.342, 0.658, 0.750], [0.938, 0.062, 0.567], [0.280, 0.720, 0.250], [0.809, 0.191, 0.061], [0.191, 0.809, 0.561], [0.062, 0.938, 0.433], [0.720, 0.280, 0.750], [0.448, 0.552, 0.250], [0.938, 0.062, 0.933], [0.552, 0.448, 0.750], [0.062, 0.938, 0.067], [0.658, 0.342, 0.250]], "density_g_cm3": 5.98, "final_energy_ev_per_atom": -4.59}

---

Entry 4:
{"formula": "Mg16ZrAl12", "functional": "GGA-PBE", "state": "optimized geometry", "lattice": [[7.470, 5.274, 0.000], [-7.470, 5.274, 0.000], [0.000, 5.064, 7.390]], "species": ["Al", "Al", "Mg", "Mg", "Mg", "Mg", "Mg", "Al", "Al", "Mg", "Mg", "Al", "Mg", "Al", "Mg", "Mg", "Zr", "Mg", "Mg", "Al", "Al", "Mg", "Al", "Al", "Al", "Mg", "Mg", "Al", "Mg"], "frac_coords": [[0.823, 0.184, 0.812], [0.635, 0.813, 0.995], [0.336, 0.996, 0.009], [0.001, 0.320, 0.394], [0.996, 0.336, 0.009], [0.005, 0.005, 0.647], [0.315, 0.604, 0.996], [0.179, 0.363, 0.635], [0.182, 0.182, 0.181], [0.655, 0.655, 0.351], [0.716, 0.400, 0.603], [0.374, 0.374, 0.817], [0.290, 0.684, 0.316], [0.994, 0.811, 0.374], [0.320, 0.001, 0.394], [0.401, 0.401, 0.280], [0.685, 0.685, 0.720], [0.002, 0.598, 0.686], [0.604, 0.315, 0.996], [0.811, 0.994, 0.374], [0.184, 0.823, 0.812], [0.598, 0.002, 0.686], [0.813, 0.635, 0.995], [0.635, 0.001, 0.180], [0.363, 0.179, 0.635], [0.999, 0.999, 0.003], [0.684, 0.290, 0.316], [0.001, 0.635, 0.180], [0.400, 0.716, 0.603]], "density_g_cm3": 2.29, "final_energy_ev_per_atom": -2.77, "polymorph_energy_mev_per_atom": 7}

---

Entry 5:
{"formula": "CsFeS2", "functional": "GGA-PBE", "state": "optimized geometry", "lattice": [[-0.709, -4.970, -2.052], [3.597, -2.771, 5.469], [-6.558, 3.326, 1.379]], "species": ["S", "S", "Fe", "Fe", "Cs", "S", "Cs", "S"], "frac_coords": [[0.500, 0.757, 0.000], [0.500, 0.243, 0.000], [0.253, 0.000, 0.000], [0.747, 0.000, 0.000], [0.172, 0.672, 0.344], [0.142, 0.142, 0.284], [0.828, 0.328, 0.656], [0.858, 0.858, 0.716]], "density_g_cm3": 3.63, "final_energy_ev_per_atom": -5.19}

---

Entry 6:
{"formula": "Na30Mg4Nb20Si33S3O144", "functional": "GGA-PBE", "state": "optimized geometry", "lattice": [[-4.626, 10.226, 14.221], [6.607, -6.148, 0.795], [15.201, 15.548, -6.250]], "species": ["Na", "O", "O", "O", "O", "Na", "Si", "O", "O", "O", "O", "O", "O", "Nb", "O", "Na", "O", "Nb", "Si", "S", "O", "Si", "Si", "O", "O", "Na", "Si", "Na", "O", "O", "O", "Si", "Si", "O", "Nb", "O", "O", "O", "Si", "O", "O", "Si", "O", "Na", "Nb", "O", "O", "Si", "Na", "O", "O", "O", "Na", "O", "Si", "O", "O", "O", "Si", "Si", "Si", "Si", "O", "O", "Nb", "O", "O", "Si", "O", "O", "Nb", "O", "O", "O", "Na", "O", "O", "O", "O", "O", "Si", "O", "Nb", "Na", "O", "O", "O", "Na", "Si", "O", "Si", "Si", "O", "O", "O", "O", "Nb", "O", "Mg", "Nb", "O", "Nb", "O", "O", "O", "O", "Nb", "Na", "Nb", "O", "O", "Na", "Na", "Si", "O", "O", "Na", "Na", "O", "Nb", "O", "O", "O", "O", "O", "Na", "Si", "O", "O", "O", "O", "O", "Mg", "O", "Nb", "S", "O", "O", "O", "O", "Mg", "Si", "O", "O", "Na", "O", "Si", "O", "Nb", "O", "Si", "O", "Si", "S", "O", "Na", "O", "O", "O", "O", "Na", "O", "O", "O", "Nb", "Nb", "O", "O", "O", "Si", "Nb", "O", "O", "O", "O", "O", "O", "Si", "O", "Na", "Nb", "O", "Na", "O", "Nb", "Si", "O", "Si", "O", "O", "Na", "O", "O", "O", "O", "O", "O", "O", "Na", "Na", "O", "O", "Si", "O", "Na", "Na", "Na", "Na", "O", "O", "O", "O", "O", "O", "Na", "O", "O", "O", "O", "O", "Si", "O", "O", "O", "O", "O", "Mg", "O", "Si", "O", "O", "O", "O", "O"], "frac_coords": [[0.989, 0.661, 0.914], [0.765, 0.693, 0.974], [0.008, 0.181, 0.194], [0.103, 0.179, 0.803], [0.816, 0.139, 0.141], [0.345, 0.027, 0.915], [0.354, 0.001, 0.750], [0.759, 0.683, 0.249], [0.492, 0.814, 0.087], [0.325, 0.503, 0.926], [0.988, 0.169, 0.309], [0.916, 0.024, 0.089], [0.057, 0.491, 0.854], [0.165, 0.665, 0.522], [0.598, 0.165, 0.085], [0.843, 0.659, 0.414], [0.425, 0.348, 0.922], [0.498, 0.994, 0.645], [0.666, 0.951, 0.917], [0.645, 0.002, 0.249], [0.083, 0.696, 0.475], [0.521, 0.380, 0.917], [0.352, 0.708, 0.246], [0.095, 0.029, 0.592], [0.917, 0.809, 0.588], [0.990, 0.321, 0.415], [0.522, 0.669, 0.413], [0.004, 0.386, 0.755], [0.583, 0.470, 0.975], [0.329, 0.153, 0.425], [0.249, 0.363, 0.143], [0.502, 0.296, 0.247], [0.482, 0.333, 0.580], [0.906, 0.831, 0.912], [0.493, 0.997, 0.356], [0.009, 0.835, 0.410], [0.738, 0.305, 0.745], [0.653, 0.476, 0.757], [0.331, 0.041, 0.081], [0.690, 0.488, 0.356], [0.073, 0.505, 0.578], [0.500, 0.709, 0.750], [0.229, 0.160, 0.246], [0.834, 0.325, 0.333], [0.994, 0.986, 0.641], [0.189, 0.894, 0.855], [0.748, 0.632, 0.860], [0.979, 0.336, 0.586], [0.339, 0.345, 0.837], [0.596, 0.981, 0.194], [0.654, 0.839, 0.977], [0.730, 0.165, 0.247], [0.159, 0.656, 0.171], [0.740, 0.315, 0.026], [0.000, 0.711, 0.750], [0.584, 0.980, 0.910], [0.149, 0.828, 0.970], [0.422, 0.310, 0.523], [0.643, 0.286, 0.750], [0.167, 0.376, 0.414], [0.806, 0.955, 0.414], [0.305, 0.954, 0.413], [0.762, 0.830, 0.756], [0.400, 0.818, 0.189], [0.164, 0.665, 0.020], [0.750, 0.361, 0.143], [0.416, 0.523, 0.028], [0.690, 0.334, 0.084], [0.556, 0.623, 0.355], [0.153, 0.456, 0.754], [0.830, 0.332, 0.689], [0.914, 0.522, 0.745], [0.013, 0.187, 0.909], [0.583, 0.687, 0.755], [0.340, 0.719, 0.089], [0.765, 0.831, 0.473], [0.083, 0.690, 0.750], [0.080, 0.186, 0.410], [0.580, 0.488, 0.253], [0.517, 0.211, 0.189], [0.853, 0.709, 0.250], [0.102, 0.025, 0.303], [0.341, 0.336, 0.684], [0.505, 0.635, 0.259], [0.745, 0.860, 0.078], [0.085, 0.472, 0.251], [0.910, 0.297, 0.243], [0.644, 0.968, 0.086], [0.689, 0.041, 0.584], [0.751, 0.353, 0.427], [0.980, 0.627, 0.081], [0.024, 0.668, 0.415], [0.409, 0.985, 0.695], [0.149, 0.468, 0.472], [0.263, 0.827, 0.471], [0.926, 0.504, 0.427], [0.994, 0.000, 0.143], [0.425, 0.503, 0.426], [0.164, 0.657, 0.316], [0.330, 0.338, 0.979], [0.484, 0.804, 0.807], [0.665, 0.664, 0.810], [0.246, 0.852, 0.077], [0.576, 0.501, 0.578], [0.512, 0.829, 0.692], [0.737, 0.169, 0.528], [0.835, 0.328, 0.979], [0.488, 0.316, 0.415], [0.841, 0.347, 0.187], [0.346, 0.530, 0.526], [0.404, 0.974, 0.410], [0.650, 0.333, 0.584], [0.501, 0.990, 0.502], [0.481, 0.629, 0.082], [0.572, 0.633, 0.078], [0.265, 0.699, 0.973], [0.518, 0.316, 0.089], [0.167, 0.677, 0.665], [0.753, 0.875, 0.357], [0.498, 0.994, 0.855], [0.990, 0.810, 0.809], [0.932, 0.502, 0.139], [0.911, 0.829, 0.194], [0.597, 0.033, 0.589], [0.416, 0.025, 0.084], [0.666, 0.298, 0.916], [0.332, 0.622, 0.584], [0.990, 0.167, 0.593], [0.091, 0.204, 0.697], [0.830, 0.154, 0.425], [0.931, 0.359, 0.644], [0.846, 0.534, 0.524], [0.168, 0.676, 0.817], [0.181, 0.857, 0.578], [0.338, 0.339, 0.185], [0.144, 0.287, 0.750], [0.905, 0.974, 0.412], [0.492, 0.166, 0.588], [0.322, 0.504, 0.643], [0.236, 0.308, 0.028], [0.497, 0.004, 0.145], [0.024, 0.379, 0.913], [0.749, 0.147, 0.923], [0.990, 0.813, 0.091], [0.315, 0.982, 0.255], [0.405, 0.843, 0.911], [0.667, 0.375, 0.415], [0.906, 0.979, 0.693], [0.833, 0.330, 0.480], [0.509, 0.836, 0.411], [0.832, 0.045, 0.085], [0.571, 0.500, 0.860], [0.309, 0.664, 0.913], [0.142, 0.999, 0.249], [0.913, 0.802, 0.309], [0.185, 0.389, 0.256], [0.845, 0.517, 0.245], [0.080, 0.973, 0.910], [0.821, 0.496, 0.921], [0.416, 0.800, 0.307], [0.184, 0.979, 0.755], [0.093, 0.983, 0.196], [0.410, 0.525, 0.745], [0.060, 0.615, 0.360], [0.994, 0.993, 0.858], [0.993, 0.995, 0.357], [0.251, 0.148, 0.926], [0.155, 0.852, 0.253], [0.345, 0.513, 0.246], [0.809, 0.663, 0.916], [0.331, 0.330, 0.481], [0.680, 0.854, 0.577], [0.597, 0.170, 0.809], [0.650, 0.463, 0.474], [0.418, 0.810, 0.591], [0.680, 0.505, 0.077], [0.258, 0.634, 0.853], [0.831, 0.618, 0.582], [0.654, 0.853, 0.256], [0.005, 0.015, 0.002], [0.669, 0.666, 0.022], [0.084, 0.473, 0.972], [0.498, 0.991, 0.006], [0.343, 0.172, 0.745], [0.666, 0.672, 0.519], [0.189, 0.042, 0.585], [0.251, 0.353, 0.427], [0.187, 0.332, 0.085], [0.012, 0.841, 0.694], [0.230, 0.302, 0.746], [0.313, 0.641, 0.757], [0.587, 0.196, 0.691], [0.487, 0.167, 0.306], [0.320, 0.138, 0.141], [0.846, 0.164, 0.026], [0.919, 0.029, 0.807], [0.920, 0.307, 0.526], [0.818, 0.495, 0.639], [0.668, 0.675, 0.667], [0.342, 0.661, 0.415], [0.094, 0.162, 0.092], [0.433, 0.359, 0.639], [0.855, 0.999, 0.750], [0.343, 0.165, 0.025], [0.330, 0.327, 0.336], [0.680, 0.383, 0.253], [0.830, 0.323, 0.831], [0.009, 0.006, 0.501], [0.248, 0.139, 0.644], [0.921, 0.536, 0.023], [0.745, 0.631, 0.577], [0.072, 0.638, 0.077], [0.408, 0.296, 0.246], [0.852, 0.176, 0.746], [0.675, 0.668, 0.174], [0.515, 0.192, 0.911], [0.749, 0.138, 0.642], [0.680, 0.857, 0.860], [0.413, 0.028, 0.810], [0.184, 0.508, 0.077], [0.167, 0.960, 0.914], [0.258, 0.885, 0.352], [0.262, 0.830, 0.750], [0.247, 0.640, 0.577], [0.929, 0.358, 0.926], [0.579, 0.186, 0.409], [0.669, 0.665, 0.316], [0.259, 0.688, 0.252], [0.000, 0.292, 0.250], [0.435, 0.502, 0.142], [0.601, 0.027, 0.301], [0.191, 0.487, 0.355], [0.584, 0.692, 0.472], [0.238, 0.166, 0.529]], "density_g_cm3": 3.08, "final_energy_ev_per_atom": -7.40}

---

Number 4 is which compound?
Mg16ZrAl12

---

Number 2 is which compound?
LiSnP4O12